# BaYMn2O5 | the Materials Project database | GGA+U | optimized geometry
# Excess energy over the best structure of this formula in the dataset (eV/f.u.): 0.10
# Energy relative to the elements (eV per atom): -2.7802
data_BaYMn2O5
_chemical_formula_sum 'Ba2 Y2 Mn4 O10'
_symmetry_space_group_name_H-M 'P 1'
_symmetry_Int_Tables_number 1
_symmetry_space_group_name_Hall 'P 1'
_cell_length_a 5.6142
_cell_length_b 5.6142
_cell_length_c 8.7759
_cell_angle_alpha 71.35
_cell_angle_beta 71.35
_cell_angle_gamma 90.00
loop_
_atom_site_label
_atom_site_type_symbol
_atom_site_fract_x
_atom_site_fract_y
_atom_site_fract_z
Ba1 Ba 0.7500 0.2500 0.0000
Ba2 Ba 0.2500 0.7500 0.0000
Y1 Y 0.5000 0.0000 0.5000
Y2 Y 0.0000 0.5000 0.5000
Mn1 Mn 0.8881 0.8881 0.7238
Mn2 Mn 0.1119 0.1119 0.2762
Mn3 Mn 0.3764 0.3764 0.7472
Mn4 Mn 0.6236 0.6236 0.2528
O1 O 0.2459 0.2459 0.0081
O2 O 0.7541 0.7541 0.9918
O3 O 0.3314 0.3314 0.3196
O4 O 0.8490 0.8490 0.3196
O5 O 0.3314 0.8490 0.3196
O6 O 0.8490 0.3314 0.3196
O7 O 0.6686 0.6686 0.6804
O8 O 0.1510 0.1510 0.6804
O9 O 0.1510 0.6686 0.6804
O10 O 0.6686 0.1510 0.6804

---

# BaYMn2O6 | the Materials Project database | GGA+U | optimized geometry
# Excess energy over the best structure of this formula in the dataset (eV/f.u.): 0.09
# Energy relative to the elements (eV per atom): -2.6748
data_BaYMn2O6
_chemical_formula_sum 'Ba2 Y2 Mn4 O12'
_symmetry_space_group_name_H-M 'P 1'
_symmetry_Int_Tables_number 1
_symmetry_space_group_name_Hall 'P 1'
_cell_length_a 5.5974
_cell_length_b 5.5519
_cell_length_c 7.8400
_cell_angle_alpha 89.06
_cell_angle_beta 90.00
_cell_angle_gamma 90.00
loop_
_atom_site_label
_atom_site_type_symbol
_atom_site_fract_x
_atom_site_fract_y
_atom_site_fract_z
Ba1 Ba 0.2437 0.7500 0.5000
Ba2 Ba 0.7563 0.2500 0.5000
Y1 Y 0.2377 0.7500 0.0000
Y2 Y 0.7623 0.2500 0.0000
Mn1 Mn 0.2503 0.2499 0.7578
Mn2 Mn 0.2503 0.2501 0.2422
Mn3 Mn 0.7497 0.7499 0.7578
Mn4 Mn 0.7497 0.7501 0.2422
O1 O 0.1793 0.2500 0.0000
O2 O 0.8207 0.7500 0.0000
O3 O 0.4749 0.5273 0.8041
O4 O 0.4749 0.9727 0.1959
O5 O 0.5251 0.0273 0.8041
O6 O 0.5251 0.4727 0.1959
O7 O 0.9717 0.4726 0.7561
O8 O 0.9717 0.0274 0.2439
O9 O 0.0283 0.9726 0.7561
O10 O 0.0283 0.5274 0.2439
O11 O 0.2810 0.2500 0.5000
O12 O 0.7190 0.7500 0.5000

---

# Ba2YMn3O8 | the Materials Project database | GGA+U | optimized geometry
# Excess energy over the best structure of this formula in the dataset (eV/f.u.): 0.00
# Energy relative to the elements (eV per atom): -2.6777
data_Ba2YMn3O8
_chemical_formula_sum 'Ba4 Y2 Mn6 O16'
_symmetry_space_group_name_H-M 'P 1'
_symmetry_Int_Tables_number 1
_symmetry_space_group_name_Hall 'P 1'
_cell_length_a 3.9774
_cell_length_b 23.7047
_cell_length_c 3.9774
_cell_angle_alpha 90.00
_cell_angle_beta 90.00
_cell_angle_gamma 90.00
loop_
_atom_site_label
_atom_site_type_symbol
_atom_site_fract_x
_atom_site_fract_y
_atom_site_fract_z
Ba1 Ba 0.5000 0.0821 0.5000
Ba2 Ba 0.5000 0.5821 0.5000
Ba3 Ba 0.5000 0.4179 0.5000
Ba4 Ba 0.5000 0.9179 0.5000
Y1 Y 0.5000 0.2500 0.5000
Y2 Y 0.5000 0.7500 0.5000
Mn1 Mn 0.0000 0.5000 0.0000
Mn2 Mn 0.0000 0.6715 0.0000
Mn3 Mn 0.0000 0.3285 0.0000
Mn4 Mn 0.0000 0.0000 0.0000
Mn5 Mn 0.0000 0.1715 0.0000
Mn6 Mn 0.0000 0.8285 0.0000
O1 O 0.0000 0.0000 0.5000
O2 O 0.0000 0.5000 0.5000
O3 O 0.5000 0.0000 0.0000
O4 O 0.5000 0.5000 0.0000
O5 O 0.0000 0.0858 0.0000
O6 O 0.0000 0.5858 0.0000
O7 O 0.0000 0.4142 0.0000
O8 O 0.0000 0.9141 0.0000
O9 O 0.5000 0.1907 0.0000
O10 O 0.5000 0.6907 0.0000
O11 O 0.0000 0.1907 0.5000
O12 O 0.0000 0.6907 0.5000
O13 O 0.5000 0.3093 0.0000
O14 O 0.5000 0.8093 0.0000
O15 O 0.0000 0.3093 0.5000
O16 O 0.0000 0.8093 0.5000

---

# Ba2Y2Mn4O11 | the Materials Project database | GGA+U | optimized geometry
# Energy relative to the elements (eV per atom): -2.7469
data_Ba2Y2Mn4O11
_chemical_formula_sum 'Ba2 Y2 Mn4 O11'
_symmetry_space_group_name_H-M 'P 1'
_symmetry_Int_Tables_number 1
_symmetry_space_group_name_Hall 'P 1'
_cell_length_a 3.8502
_cell_length_b 8.1852
_cell_length_c 8.7739
_cell_angle_alpha 117.81
_cell_angle_beta 90.00
_cell_angle_gamma 90.00
loop_
_atom_site_label
_atom_site_type_symbol
_atom_site_fract_x
_atom_site_fract_y
_atom_site_fract_z
Ba1 Ba 0.5000 0.5000 0.5000
Ba2 Ba 0.5000 0.0000 0.5000
Y1 Y 0.5000 0.2255 0.0000
Y2 Y 0.5000 0.7745 0.0000
Mn1 Mn 0.9999 0.3863 0.7725
Mn2 Mn 0.0001 0.6138 0.2278
Mn3 Mn 0.0000 0.1242 0.2485
Mn4 Mn 0.0000 0.8758 0.7516
O1 O 0.5000 0.4122 0.8243
O2 O 0.5000 0.5878 0.1757
O3 O 0.5000 0.1122 0.2243
O4 O 0.5000 0.8878 0.7757
O5 O 0.0000 0.2485 0.4970
O6 O 0.0000 0.7515 0.5029
O7 O 0.0000 0.3659 0.1986
O8 O 0.0000 0.6341 0.8014
O9 O 0.0000 0.8327 0.1986
O10 O 0.0000 0.1673 0.8014
O11 O 0.0000 0.0000 0.0000

---

# BaMn4ZnO8 | the Materials Project database | GGA+U | optimized geometry
# Energy relative to the elements (eV per atom): -1.9297
data_BaMn4ZnO8
_chemical_formula_sum 'Ba1 Mn4 Zn1 O8'
_symmetry_space_group_name_H-M 'P 1'
_symmetry_Int_Tables_number 1
_symmetry_space_group_name_Hall 'P 1'
_cell_length_a 5.5004
_cell_length_b 5.5004
_cell_length_c 7.2233
_cell_angle_alpha 90.00
_cell_angle_beta 90.00
_cell_angle_gamma 120.00
loop_
_atom_site_label
_atom_site_type_symbol
_atom_site_fract_x
_atom_site_fract_y
_atom_site_fract_z
Ba1 Ba 0.0000 0.0000 0.0000
Mn1 Mn 0.3333 0.6667 0.7382
Mn2 Mn 0.6667 0.3333 0.7382
Mn3 Mn 0.3333 0.6667 0.2618
Mn4 Mn 0.6667 0.3333 0.2618
Zn1 Zn 0.0000 0.0000 0.5000
O1 O 0.3116 0.3116 0.6807
O2 O 0.6884 0.0000 0.6807
O3 O 0.0000 0.6884 0.6807
O4 O 0.6884 0.6884 0.3193
O5 O 0.0000 0.3116 0.3193
O6 O 0.3116 0.0000 0.3193
O7 O 0.3333 0.6667 0.0000
O8 O 0.6667 0.3333 0.0000

---

# Ba3Mo2N2O6 | the Materials Project database | GGA+U | optimized geometry
# Energy relative to the elements (eV per atom): -2.1084
data_Ba3Mo2N2O6
_chemical_formula_sum 'Ba3 Mo2 N2 O6'
_symmetry_space_group_name_H-M 'P 1'
_symmetry_Int_Tables_number 1
_symmetry_space_group_name_Hall 'P 1'
_cell_length_a 8.0270
_cell_length_b 8.0270
_cell_length_c 8.0270
_cell_angle_alpha 44.62
_cell_angle_beta 44.62
_cell_angle_gamma 44.62
loop_
_atom_site_label
_atom_site_type_symbol
_atom_site_fract_x
_atom_site_fract_y
_atom_site_fract_z
Ba1 Ba 0.2016 0.2016 0.2016
Ba2 Ba 0.7984 0.7984 0.7984
Ba3 Ba 0.0000 0.0000 0.0000
Mo1 Mo 0.5935 0.5935 0.5935
Mo2 Mo 0.4065 0.4065 0.4065
N1 N 0.6742 0.6742 0.6742
N2 N 0.3258 0.3258 0.3258
O1 O 0.2677 0.2677 0.7681
O2 O 0.7681 0.2677 0.2677
O3 O 0.2677 0.7681 0.2677
O4 O 0.7323 0.7323 0.2319
O5 O 0.2319 0.7323 0.7323
O6 O 0.7323 0.2319 0.7323

---

# Ba7Nb4MoO20 | the Materials Project database | GGA+U | optimized geometry
# Energy relative to the elements (eV per atom): -3.1377
data_Ba7Nb4MoO20
_chemical_formula_sum 'Ba7 Nb4 Mo1 O20'
_symmetry_space_group_name_H-M 'P 1'
_symmetry_Int_Tables_number 1
_symmetry_space_group_name_Hall 'P 1'
_cell_length_a 5.9736
_cell_length_b 5.9736
_cell_length_c 16.8312
_cell_angle_alpha 90.00
_cell_angle_beta 90.00
_cell_angle_gamma 120.00
loop_
_atom_site_label
_atom_site_type_symbol
_atom_site_fract_x
_atom_site_fract_y
_atom_site_fract_z
Ba1 Ba 0.3333 0.6667 0.8233
Ba2 Ba 0.6667 0.3333 0.1776
Ba3 Ba 0.0000 0.0000 0.9922
Ba4 Ba 0.3333 0.6667 0.5739
Ba5 Ba 0.6667 0.3333 0.4265
Ba6 Ba 0.0000 0.0000 0.2882
Ba7 Ba 0.0000 0.0000 0.7211
Nb1 Nb 0.6667 0.3333 0.9054
Nb2 Nb 0.3333 0.6667 0.3498
Nb3 Nb 0.6667 0.3333 0.6508
Nb4 Nb 0.0000 0.0000 0.5014
Mo1 Mo 0.3333 0.6667 0.0960
O1 O 0.6625 0.8313 0.1305
O2 O 0.1687 0.8313 0.1305
O3 O 0.1687 0.3375 0.1305
O4 O 0.3251 0.1626 0.8687
O5 O 0.8374 0.1626 0.8687
O6 O 0.8374 0.6749 0.8687
O7 O 0.4941 0.5059 0.2948
O8 O 0.4941 0.9882 0.2948
O9 O 0.0118 0.5059 0.2948
O10 O 0.5052 0.4948 0.7036
O11 O 0.5052 0.0103 0.7036
O12 O 0.9897 0.4948 0.7036
O13 O 0.6748 0.8374 0.4305
O14 O 0.1626 0.8374 0.4305
O15 O 0.1626 0.3252 0.4305
O16 O 0.3257 0.1628 0.5677
O17 O 0.8372 0.1628 0.5677
O18 O 0.8372 0.6743 0.5677
O19 O 0.3333 0.6667 0.9893
O20 O 0.6667 0.3333 0.0169

---

# Ba10Nd4YMo5O30 | the Materials Project database | GGA+U | optimized geometry
# Energy relative to the elements (eV per atom): -3.0048
data_Ba10Nd4YMo5O30
_chemical_formula_sum 'Ba10 Nd4 Y1 Mo5 O30'
_symmetry_space_group_name_H-M 'P 1'
_symmetry_Int_Tables_number 1
_symmetry_space_group_name_Hall 'P 1'
_cell_length_a 6.0618
_cell_length_b 6.1125
_cell_length_c 25.0847
_cell_angle_alpha 84.01
_cell_angle_beta 83.12
_cell_angle_gamma 60.31
loop_
_atom_site_label
_atom_site_type_symbol
_atom_site_fract_x
_atom_site_fract_y
_atom_site_fract_z
Ba1 Ba 0.2512 0.2475 0.7510
Ba2 Ba 0.4509 0.4505 0.1475
Ba3 Ba 0.6523 0.6508 0.5500
Ba4 Ba 0.8483 0.8514 0.9517
Ba5 Ba 0.0482 0.0474 0.3499
Ba6 Ba 0.5491 0.5495 0.8525
Ba7 Ba 0.7488 0.7525 0.2490
Ba8 Ba 0.9518 0.9526 0.6501
Ba9 Ba 0.1517 0.1486 0.0483
Ba10 Ba 0.3477 0.3492 0.4500
Nd1 Nd 0.9015 0.9003 0.8013
Nd2 Nd 0.2978 0.3001 0.5999
Nd3 Nd 0.7022 0.6999 0.4001
Nd4 Nd 0.0985 0.0997 0.1987
Y1 Y 0.5000 0.5000 0.0000
Mo1 Mo 0.1984 0.1999 0.9020
Mo2 Mo 0.3995 0.3997 0.2995
Mo3 Mo 0.6005 0.6003 0.7005
Mo4 Mo 0.8016 0.8001 0.0980
Mo5 Mo 0.0000 0.0000 0.5000
O1 O 0.7411 0.2706 0.7470
O2 O 0.9394 0.4749 0.1452
O3 O 0.1431 0.6727 0.5469
O4 O 0.3427 0.8668 0.9487
O5 O 0.5374 0.0728 0.3466
O6 O 0.0606 0.5251 0.8548
O7 O 0.2589 0.7294 0.2530
O8 O 0.4626 0.9272 0.6534
O9 O 0.6573 0.1332 0.0513
O10 O 0.8569 0.3273 0.4531
O11 O 0.9008 0.4365 0.6455
O12 O 0.2903 0.8409 0.4468
O13 O 0.7008 0.2344 0.2447
O14 O 0.1124 0.6425 0.0461
O15 O 0.5011 0.0437 0.8496
O16 O 0.2992 0.7656 0.7553
O17 O 0.7097 0.1591 0.5532
O18 O 0.0992 0.5635 0.3545
O19 O 0.4989 0.9563 0.1504
O20 O 0.8876 0.3575 0.9539
O21 O 0.4180 0.4835 0.6617
O22 O 0.8051 0.8836 0.4609
O23 O 0.2166 0.2823 0.2607
O24 O 0.6131 0.6815 0.0590
O25 O 0.0064 0.0876 0.8637
O26 O 0.3869 0.3185 0.9410
O27 O 0.7834 0.7177 0.7393
O28 O 0.1949 0.1164 0.5391
O29 O 0.5820 0.5165 0.3383
O30 O 0.9936 0.9124 0.1363

---

> The lowest energy relative to the elements belongs to which entry?

Ba7Nb4MoO20

---

What did the fifth record say?
# BaMn4ZnO8 | the Materials Project database | GGA+U | optimized geometry
# Energy relative to the elements (eV per atom): -1.9297
data_BaMn4ZnO8
_chemical_formula_sum 'Ba1 Mn4 Zn1 O8'
_symmetry_space_group_name_H-M 'P 1'
_symmetry_Int_Tables_number 1
_symmetry_space_group_name_Hall 'P 1'
_cell_length_a 5.5004
_cell_length_b 5.5004
_cell_length_c 7.2233
_cell_angle_alpha 90.00
_cell_angle_beta 90.00
_cell_angle_gamma 120.00
loop_
_atom_site_label
_atom_site_type_symbol
_atom_site_fract_x
_atom_site_fract_y
_atom_site_fract_z
Ba1 Ba 0.0000 0.0000 0.0000
Mn1 Mn 0.3333 0.6667 0.7382
Mn2 Mn 0.6667 0.3333 0.7382
Mn3 Mn 0.3333 0.6667 0.2618
Mn4 Mn 0.6667 0.3333 0.2618
Zn1 Zn 0.0000 0.0000 0.5000
O1 O 0.3116 0.3116 0.6807
O2 O 0.6884 0.0000 0.6807
O3 O 0.0000 0.6884 0.6807
O4 O 0.6884 0.6884 0.3193
O5 O 0.0000 0.3116 0.3193
O6 O 0.3116 0.0000 0.3193
O7 O 0.3333 0.6667 0.0000
O8 O 0.6667 0.3333 0.0000